[1]
# GGA-PBE Pr3Se4, optimized geometry
# - Formation energy from the elements: -14.89 eV/f.u.
# - Crystal system: cubic
data_Pr3Se4
_cell_length_a 9.0123
_cell_length_b 9.0123
_cell_length_c 9.0123
_cell_angle_alpha 90.00
_cell_angle_beta 90.00
_cell_angle_gamma 90.00
_symmetry_space_group_name_H-M 'I -4 3 d'
_symmetry_Int_Tables_number 220
_symmetry_space_group_name_Hall 'I -4bd 2c 3'
loop_
_atom_site_label
_atom_site_type_symbol
_atom_site_fract_x
_atom_site_fract_y
_atom_site_fract_z
_atom_site_occupancy
Pr1 Pr 0.0000 0.2500 0.3750 1
Se1 Se 0.0750 0.0750 0.0750 1

[2]
# GGA-PBE Mg9Si5, optimized geometry
# - Formation energy from the elements: 0.35 eV/f.u.
# - Crystal system: triclinic
data_Mg9Si5
_cell_length_a 7.4367
_cell_length_b 7.6026
_cell_length_c 10.9168
_cell_angle_alpha 92.34
_cell_angle_beta 95.09
_cell_angle_gamma 116.24
_symmetry_space_group_name_H-M 'P 1'
_symmetry_Int_Tables_number 1
_symmetry_space_group_name_Hall 'P 1'
loop_
_atom_site_label
_atom_site_type_symbol
_atom_site_fract_x
_atom_site_fract_y
_atom_site_fract_z
_atom_site_occupancy
Mg1 Mg 0.0000 0.0000 0.0000 1
Mg2 Mg 0.0042 0.2901 0.2307 1
Mg3 Mg 0.2176 0.7070 0.1932 1
Mg4 Mg 0.2184 0.7370 0.8846 1
Mg5 Mg 0.3599 0.4285 0.0176 1
Mg6 Mg 0.3807 0.5098 0.6893 1
Mg7 Mg 0.3901 0.9801 0.4245 1
Mg8 Mg 0.4405 0.4442 0.3188 1
Mg9 Mg 0.5084 0.9605 0.6981 1
Mg10 Mg 0.6141 0.1025 0.9847 1
Mg11 Mg 0.6483 0.3735 0.5712 1
Mg12 Mg 0.6551 0.8851 0.2338 1
Mg13 Mg 0.7027 0.4549 0.8485 1
Mg14 Mg 0.7766 0.5706 0.1396 1
Mg15 Mg 0.8767 0.8241 0.7083 1
Mg16 Mg 0.9130 0.1519 0.4934 1
Mg17 Mg 0.9269 0.7183 0.4300 1
Mg18 Mg 0.9685 0.2523 0.7768 1
Si1 Si 0.0552 0.5761 0.6389 1
Si2 Si 0.0631 0.9699 0.2488 1
Si3 Si 0.2182 0.5765 0.4419 1
Si4 Si 0.2335 0.1097 0.6105 1
Si5 Si 0.2907 0.1245 0.8348 1
Si6 Si 0.4031 0.1087 0.1743 1
Si7 Si 0.5897 0.7507 0.5012 1
Si8 Si 0.6137 0.7589 0.9064 1
Si9 Si 0.6949 0.2860 0.3331 1
Si10 Si 0.9882 0.4230 0.0096 1

It is found that the calculated total energy values, taken in the order of the records, are -41.3; -41.5 eV per formula unit.